Material: Ga2Hg3Cl8
Method: DFT, PBE
State: relaxed

Cell lengths 7.410, 15.729, 14.879 Å; angles 90.00, 97.66, 90.00 degrees
Fractional positions:
Ga: 0.100 0.183 0.095
Ga: 0.100 0.317 0.595
Ga: 0.305 0.602 0.778
Ga: 0.305 0.898 0.278
Ga: 0.695 0.102 0.722
Ga: 0.695 0.398 0.222
Ga: 0.900 0.683 0.405
Ga: 0.900 0.817 0.905
Hg: 0.133 0.524 0.195
Hg: 0.133 0.976 0.695
Hg: 0.315 0.637 0.109
Hg: 0.315 0.863 0.609
Hg: 0.493 0.741 0.535
Hg: 0.493 0.759 0.035
Hg: 0.507 0.241 0.965
Hg: 0.507 0.259 0.465
Hg: 0.685 0.137 0.391
Hg: 0.685 0.363 0.891
Hg: 0.867 0.024 0.305
Hg: 0.867 0.476 0.805
Cl: 0.017 0.585 0.706
Cl: 0.017 0.915 0.206
Cl: 0.095 0.185 0.546
Cl: 0.095 0.315 0.046
Cl: 0.144 0.611 0.454
Cl: 0.144 0.889 0.954
Cl: 0.176 0.170 0.241
Cl: 0.176 0.330 0.741
Cl: 0.322 0.522 0.900
Cl: 0.322 0.978 0.400
Cl: 0.325 0.120 0.026
Cl: 0.325 0.380 0.526
Cl: 0.345 0.737 0.810
Cl: 0.345 0.763 0.310
Cl: 0.492 0.563 0.685
Cl: 0.492 0.937 0.185
Cl: 0.508 0.063 0.815
Cl: 0.508 0.437 0.315
Cl: 0.655 0.237 0.690
Cl: 0.655 0.263 0.190
Cl: 0.675 0.620 0.474
Cl: 0.675 0.880 0.974
Cl: 0.678 0.022 0.600
Cl: 0.678 0.478 0.100
Cl: 0.824 0.670 0.259
Cl: 0.824 0.830 0.759
Cl: 0.856 0.111 0.046
Cl: 0.856 0.389 0.546
Cl: 0.905 0.685 0.954
Cl: 0.905 0.815 0.454
Cl: 0.983 0.085 0.794
Cl: 0.983 0.415 0.294

Properties
Energy with MP2020 corrections = -2.94 eV/atom
Crystal system = monoclinic
SG = P2_1/c
Formation energy from the elements = -16.490 eV per formula unit
Spin magnetization = 0.00 μB/atom

---

Material: Ga4Hg11P4Cl16
Method: DFT, PBE
State: relaxed

Cell lengths 7.663, 7.663, 22.576 Å; angles 99.27, 99.27, 59.94 degrees
Fractional positions:
Ga: 0.131 0.131 0.387
Ga: 0.288 0.288 0.885
Ga: 0.712 0.712 0.115
Ga: 0.869 0.869 0.613
Hg: 0.022 0.022 0.060
Hg: 0.244 0.244 0.219
Hg: 0.244 0.744 0.220
Hg: 0.256 0.756 0.780
Hg: 0.461 0.461 0.380
Hg: 0.500 0.500 0.500
Hg: 0.539 0.539 0.620
Hg: 0.744 0.244 0.220
Hg: 0.756 0.256 0.780
Hg: 0.756 0.756 0.781
Hg: 0.978 0.978 0.940
P: 0.063 0.063 0.174
P: 0.425 0.425 0.265
P: 0.575 0.575 0.735
P: 0.937 0.937 0.826
Cl: 0.019 0.544 0.086
Cl: 0.036 0.036 0.652
Cl: 0.036 0.572 0.652
Cl: 0.161 0.161 0.484
Cl: 0.257 0.257 0.785
Cl: 0.428 0.964 0.348
Cl: 0.456 0.456 0.915
Cl: 0.456 0.981 0.914
Cl: 0.544 0.019 0.086
Cl: 0.544 0.544 0.085
Cl: 0.572 0.036 0.652
Cl: 0.743 0.743 0.215
Cl: 0.839 0.839 0.516
Cl: 0.964 0.428 0.348
Cl: 0.964 0.964 0.348
Cl: 0.981 0.456 0.914

Properties
Energy with MP2020 corrections = -2.89 eV/atom
Crystal system = monoclinic
SG = C2/m
Formation energy from the elements = -34.559 eV per formula unit
Spin magnetization = 0.00 μB/atom

---

Material: Rb2GaHgCl6
Method: DFT, PBE
State: relaxed

Cell lengths 7.451, 7.451, 7.451 Å; angles 60.00, 60.00, 60.00 degrees
Fractional positions:
Rb: 0.250 0.250 0.250
Rb: 0.750 0.750 0.750
Ga: 0.000 0.000 0.000
Hg: 0.500 0.500 0.500
Cl: 0.231 0.231 0.769
Cl: 0.231 0.769 0.231
Cl: 0.231 0.769 0.769
Cl: 0.769 0.231 0.231
Cl: 0.769 0.231 0.769
Cl: 0.769 0.769 0.231

Properties
Energy with MP2020 corrections = -3.28 eV/atom
Crystal system = cubic
SG = Fm-3m
Formation energy from the elements = -16.403 eV per formula unit
Spin magnetization = 0.00 μB/atom

---

Material: GaHg2SbCl4
Method: DFT, PBE
State: relaxed

Cell lengths 12.503, 8.986, 18.223 Å; angles 90.00, 90.00, 90.00 degrees
Fractional positions:
Ga: 0.108 0.085 0.126
Ga: 0.108 0.915 0.626
Ga: 0.392 0.415 0.626
Ga: 0.392 0.585 0.126
Ga: 0.608 0.415 0.874
Ga: 0.608 0.585 0.374
Ga: 0.892 0.085 0.374
Ga: 0.892 0.915 0.874
Hg: 0.000 0.464 0.750
Hg: 0.000 0.500 0.000
Hg: 0.000 0.500 0.500
Hg: 0.000 0.536 0.250
Hg: 0.238 0.177 0.878
Hg: 0.238 0.823 0.378
Hg: 0.262 0.323 0.378
Hg: 0.262 0.677 0.878
Hg: 0.500 0.000 0.000
Hg: 0.500 0.000 0.500
Hg: 0.500 0.036 0.250
Hg: 0.500 0.964 0.750
Hg: 0.738 0.323 0.122
Hg: 0.738 0.677 0.622
Hg: 0.762 0.177 0.622
Hg: 0.762 0.823 0.122
Sb: 0.122 0.439 0.876
Sb: 0.122 0.561 0.376
Sb: 0.378 0.061 0.376
Sb: 0.378 0.939 0.876
Sb: 0.622 0.061 0.124
Sb: 0.622 0.939 0.624
Sb: 0.878 0.439 0.624
Sb: 0.878 0.561 0.124
Cl: 0.035 0.160 0.435
Cl: 0.035 0.840 0.935
Cl: 0.081 0.140 0.667
Cl: 0.081 0.860 0.167
Cl: 0.141 0.240 0.217
Cl: 0.141 0.760 0.717
Cl: 0.247 0.090 0.051
Cl: 0.247 0.910 0.551
Cl: 0.253 0.410 0.551
Cl: 0.253 0.590 0.051
Cl: 0.359 0.260 0.717
Cl: 0.359 0.740 0.217
Cl: 0.419 0.360 0.167
Cl: 0.419 0.640 0.667
Cl: 0.465 0.340 0.935
Cl: 0.465 0.660 0.435
Cl: 0.535 0.340 0.565
Cl: 0.535 0.660 0.065
Cl: 0.581 0.360 0.333
Cl: 0.581 0.640 0.833
Cl: 0.641 0.260 0.783
Cl: 0.641 0.740 0.283
Cl: 0.747 0.410 0.949
Cl: 0.747 0.590 0.449
Cl: 0.753 0.090 0.449
Cl: 0.753 0.910 0.949
Cl: 0.859 0.240 0.283
Cl: 0.859 0.760 0.783
Cl: 0.919 0.140 0.833
Cl: 0.919 0.860 0.333
Cl: 0.965 0.160 0.065
Cl: 0.965 0.840 0.565

Properties
Energy with MP2020 corrections = -2.95 eV/atom
Crystal system = orthorhombic
SG = Pbcn
Formation energy from the elements = -8.479 eV per formula unit
Spin magnetization = 0.00 μB/atom

---

Material: GaHg2SbCl4
Method: DFT, PBE
State: relaxed

Cell lengths 18.040, 8.981, 12.506 Å; angles 90.00, 90.00, 90.00 degrees
Fractional positions:
Ga: 0.123 0.168 0.000
Ga: 0.134 0.662 0.720
Ga: 0.366 0.162 0.220
Ga: 0.377 0.668 0.500
Ga: 0.623 0.332 0.000
Ga: 0.634 0.838 0.720
Ga: 0.866 0.338 0.220
Ga: 0.877 0.832 0.500
Hg: 0.008 0.255 0.611
Hg: 0.121 0.919 0.374
Hg: 0.124 0.418 0.344
Hg: 0.243 0.703 0.107
Hg: 0.257 0.203 0.607
Hg: 0.376 0.918 0.844
Hg: 0.379 0.419 0.874
Hg: 0.492 0.755 0.111
Hg: 0.508 0.245 0.611
Hg: 0.621 0.581 0.374
Hg: 0.624 0.082 0.344
Hg: 0.743 0.797 0.107
Hg: 0.757 0.297 0.607
Hg: 0.876 0.582 0.844
Hg: 0.879 0.081 0.874
Hg: 0.992 0.745 0.111
Sb: 0.118 0.683 0.232
Sb: 0.129 0.185 0.486
Sb: 0.371 0.685 0.986
Sb: 0.382 0.183 0.732
Sb: 0.618 0.817 0.232
Sb: 0.629 0.315 0.486
Sb: 0.871 0.815 0.986
Sb: 0.882 0.317 0.732
Cl: 0.054 0.693 0.851
Cl: 0.056 0.123 0.855
Cl: 0.064 0.075 0.141
Cl: 0.073 0.616 0.571
Cl: 0.134 0.408 0.026
Cl: 0.204 0.861 0.704
Cl: 0.205 0.468 0.760
Cl: 0.230 0.057 0.981
Cl: 0.270 0.557 0.481
Cl: 0.295 0.968 0.260
Cl: 0.296 0.361 0.204
Cl: 0.366 0.908 0.526
Cl: 0.427 0.116 0.071
Cl: 0.436 0.575 0.641
Cl: 0.444 0.623 0.355
Cl: 0.446 0.193 0.351
Cl: 0.554 0.807 0.851
Cl: 0.556 0.377 0.855
Cl: 0.564 0.425 0.141
Cl: 0.573 0.884 0.571
Cl: 0.634 0.092 0.026
Cl: 0.704 0.639 0.704
Cl: 0.705 0.032 0.760
Cl: 0.730 0.443 0.981
Cl: 0.770 0.943 0.481
Cl: 0.795 0.532 0.260
Cl: 0.796 0.139 0.204
Cl: 0.866 0.592 0.526
Cl: 0.927 0.384 0.071
Cl: 0.936 0.925 0.641
Cl: 0.944 0.877 0.355
Cl: 0.946 0.307 0.351

Properties
Energy with MP2020 corrections = -2.95 eV/atom
Crystal system = orthorhombic
SG = Pna2_1
Formation energy from the elements = -8.474 eV per formula unit
Spin magnetization = 0.00 μB/atom

---

Material: InGa2Cl7
Method: DFT, PBE
State: relaxed

Cell lengths 12.413, 9.380, 10.963 Å; angles 90.00, 90.00, 90.00 degrees
Fractional positions:
In: 0.112 0.139 0.000
In: 0.388 0.639 0.500
In: 0.612 0.361 0.000
In: 0.888 0.861 0.500
Ga: 0.116 0.617 0.866
Ga: 0.176 0.067 0.623
Ga: 0.324 0.567 0.123
Ga: 0.384 0.117 0.366
Ga: 0.616 0.883 0.866
Ga: 0.676 0.433 0.623
Ga: 0.824 0.933 0.123
Ga: 0.884 0.383 0.366
Cl: 0.014 0.795 0.815
Cl: 0.022 0.159 0.675
Cl: 0.035 0.461 0.982
Cl: 0.158 0.874 0.513
Cl: 0.209 0.522 0.720
Cl: 0.216 0.547 0.279
Cl: 0.243 0.732 0.994
Cl: 0.257 0.232 0.494
Cl: 0.284 0.047 0.779
Cl: 0.291 0.022 0.220
Cl: 0.342 0.374 0.013
Cl: 0.465 0.961 0.482
Cl: 0.478 0.659 0.175
Cl: 0.486 0.295 0.315
Cl: 0.514 0.705 0.815
Cl: 0.522 0.341 0.675
Cl: 0.535 0.039 0.982
Cl: 0.658 0.626 0.513
Cl: 0.709 0.978 0.720
Cl: 0.716 0.953 0.279
Cl: 0.743 0.768 0.994
Cl: 0.757 0.268 0.494
Cl: 0.784 0.453 0.779
Cl: 0.791 0.478 0.220
Cl: 0.842 0.126 0.013
Cl: 0.965 0.539 0.482
Cl: 0.978 0.841 0.175
Cl: 0.986 0.205 0.315

Properties
Energy with MP2020 corrections = -3.69 eV/atom
Crystal system = orthorhombic
SG = Pna2_1
Formation energy from the elements = -15.200 eV per formula unit

---

Material: K3GaCl6
Method: DFT, PBE
State: relaxed

Cell lengths 7.553, 7.553, 7.553 Å; angles 60.00, 60.00, 60.00 degrees
Fractional positions:
K: 0.000 0.000 0.000
K: 0.250 0.250 0.250
K: 0.750 0.750 0.750
Ga: 0.500 0.500 0.500
Cl: 0.276 0.276 0.724
Cl: 0.276 0.724 0.276
Cl: 0.276 0.724 0.724
Cl: 0.724 0.276 0.276
Cl: 0.724 0.276 0.724
Cl: 0.724 0.724 0.276

Properties
Energy with MP2020 corrections = -3.68 eV/atom
Crystal system = cubic
SG = Fm-3m
Formation energy from the elements = -19.383 eV per formula unit
Spin magnetization = 0.00 μB/atom

---

Material: KGa2Cl7
Method: DFT, PBE
State: relaxed

Cell lengths 13.140, 9.964, 10.677 Å; angles 90.00, 90.00, 90.00 degrees
Fractional positions:
K: 0.074 0.140 0.000
K: 0.426 0.640 0.500
K: 0.574 0.360 0.000
K: 0.926 0.860 0.500
Ga: 0.129 0.630 0.852
Ga: 0.183 0.066 0.629
Ga: 0.317 0.566 0.129
Ga: 0.371 0.130 0.352
Ga: 0.629 0.870 0.852
Ga: 0.683 0.434 0.629
Ga: 0.817 0.934 0.129
Ga: 0.871 0.370 0.352
Cl: 0.032 0.148 0.654
Cl: 0.034 0.799 0.800
Cl: 0.040 0.467 0.927
Cl: 0.181 0.889 0.511
Cl: 0.225 0.725 0.015
Cl: 0.238 0.570 0.710
Cl: 0.239 0.553 0.307
Cl: 0.261 0.053 0.807
Cl: 0.262 0.070 0.210
Cl: 0.275 0.225 0.515
Cl: 0.319 0.389 0.011
Cl: 0.460 0.967 0.427
Cl: 0.466 0.299 0.300
Cl: 0.468 0.648 0.154
Cl: 0.532 0.352 0.654
Cl: 0.534 0.701 0.800
Cl: 0.540 0.033 0.927
Cl: 0.681 0.611 0.511
Cl: 0.725 0.775 0.015
Cl: 0.738 0.930 0.710
Cl: 0.739 0.947 0.307
Cl: 0.761 0.447 0.807
Cl: 0.762 0.430 0.210
Cl: 0.775 0.275 0.515
Cl: 0.819 0.111 0.011
Cl: 0.960 0.533 0.427
Cl: 0.966 0.201 0.300
Cl: 0.968 0.852 0.154

Properties
Energy with MP2020 corrections = -3.77 eV/atom
Crystal system = orthorhombic
SG = Pna2_1
Formation energy from the elements = -17.579 eV per formula unit

---

Material: KGaCl4
Method: DFT, PBE
State: relaxed

Cell lengths 7.391, 10.672, 11.769 Å; angles 90.00, 125.47, 90.00 degrees
Fractional positions:
K: 0.015 0.197 0.201
K: 0.015 0.303 0.701
K: 0.985 0.697 0.299
K: 0.985 0.803 0.799
Ga: 0.428 0.051 0.684
Ga: 0.428 0.449 0.184
Ga: 0.572 0.551 0.816
Ga: 0.572 0.949 0.316
Cl: 0.209 0.579 0.674
Cl: 0.209 0.921 0.174
Cl: 0.265 0.216 0.549
Cl: 0.265 0.284 0.049
Cl: 0.288 0.035 0.806
Cl: 0.288 0.465 0.306
Cl: 0.373 0.621 0.066
Cl: 0.373 0.879 0.566
Cl: 0.627 0.121 0.434
Cl: 0.627 0.379 0.934
Cl: 0.712 0.535 0.694
Cl: 0.712 0.965 0.194
Cl: 0.735 0.716 0.951
Cl: 0.735 0.784 0.451
Cl: 0.791 0.079 0.826
Cl: 0.791 0.421 0.326

Properties
Energy with MP2020 corrections = -3.82 eV/atom
Crystal system = monoclinic
SG = P2_1/c
Formation energy from the elements = -11.365 eV per formula unit

---

Material: KRb2GaCl6
Method: DFT, PBE
State: relaxed

Cell lengths 7.615, 7.615, 7.615 Å; angles 60.00, 60.00, 60.00 degrees
Fractional positions:
K: 0.000 0.000 0.000
Rb: 0.250 0.250 0.250
Rb: 0.750 0.750 0.750
Ga: 0.500 0.500 0.500
Cl: 0.278 0.278 0.722
Cl: 0.278 0.722 0.278
Cl: 0.278 0.722 0.722
Cl: 0.722 0.278 0.278
Cl: 0.722 0.278 0.722
Cl: 0.722 0.722 0.278

Properties
Energy with MP2020 corrections = -3.69 eV/atom
Crystal system = cubic
SG = Fm-3m
Formation energy from the elements = -19.754 eV per formula unit
Spin magnetization = 0.00 μB/atom

---

Material: K2TlGaCl6
Method: DFT, PBE
State: relaxed

Cell lengths 7.656, 7.656, 7.656 Å; angles 60.00, 60.00, 60.00 degrees
Fractional positions:
K: 0.250 0.250 0.250
K: 0.750 0.750 0.750
Tl: 0.000 0.000 0.000
Ga: 0.500 0.500 0.500
Cl: 0.279 0.279 0.721
Cl: 0.279 0.721 0.279
Cl: 0.279 0.721 0.721
Cl: 0.721 0.279 0.279
Cl: 0.721 0.279 0.721
Cl: 0.721 0.721 0.279

Properties
Energy with MP2020 corrections = -3.62 eV/atom
Crystal system = cubic
SG = Fm-3m
Formation energy from the elements = -17.451 eV per formula unit